Model A:
First-principles (PBE with a Hubbard U) data for a relaxed MgCr2O4 crystal, as listed in Materials Project.

Structure (extended XYZ):
```
7
Lattice="0.000 0.000 -2.963 0.118 -5.014 0.000 -4.977 0.123 0.000" Properties=species:S:1:pos:R:3 pbc="T T T"
Mg 0.059 -2.507 -2.890
Cr -2.429 -2.445 -1.411
Cr 0.000 -0.001 -2.894
O -0.680 -3.795 -1.411
O -4.179 -1.096 -1.411
O -3.311 -3.479 -2.893
O -1.548 -1.412 -2.893
```

As for the crystal system: monoclinic.



Model B:
First-principles (PBE with a Hubbard U) data for a relaxed MgCr2O4 crystal, as listed in Materials Project.

Structure (extended XYZ):
```
14
Lattice="-2.064 -4.271 3.564 0.756 3.864 4.438 -3.426 1.515 -4.601" Properties=species:S:1:pos:R:3 pbc="T T T"
Mg -1.335 2.690 -0.082
Mg -0.654 -0.203 4.001
Cr -3.197 1.849 2.656
Cr -1.537 -0.740 0.745
Cr 0.378 1.932 2.219
Cr -1.713 0.758 -2.300
O -3.329 3.256 -0.387
O -3.231 -1.561 1.403
O -2.083 0.746 -0.311
O -3.578 1.500 -2.617
O -1.155 -0.391 6.017
O -1.503 2.669 1.998
O -2.650 0.363 3.712
O -1.405 -2.148 3.788
```

As for the crystal system: orthorhombic.



Most stable to least stable, the ends of the list are model B and model A.